# 1
Material: Mg2V6Cu4O21
Method: DFT, PBE with a Hubbard U
State: relaxed

The structure in CIF format:
```
data_Mg2V6Cu4O21
_chemical_formula_sum 'Mg4 V12 Cu8 O42'
_space_group_name_H-M_alt 'P 1'
_space_group_IT_number 1
_cell_length_a 5.648
_cell_length_b 5.681
_cell_length_c 29.061
_cell_angle_alpha 93.94
_cell_angle_beta 93.56
_cell_angle_gamma 92.62
loop_
_space_group_symop_operation_xyz
'x,y,z'
loop_
_atom_site_label
_atom_site_type_symbol
_atom_site_fract_x
_atom_site_fract_y
_atom_site_fract_z
_atom_site_occupancy
Mg1 Mg 0.000 0.000 0.000 1
Mg2 Mg 0.155 0.156 0.514 1
Mg3 Mg 0.488 0.489 0.182 1
Mg4 Mg 0.823 0.823 0.847 1
V1 V 0.008 0.712 0.244 1
V2 V 0.062 0.663 0.744 1
V3 V 0.109 0.805 0.604 1
V4 V 0.157 0.762 0.103 1
V5 V 0.345 0.045 0.910 1
V6 V 0.396 0.997 0.411 1
V7 V 0.442 0.137 0.270 1
V8 V 0.488 0.097 0.769 1
V9 V 0.675 0.379 0.578 1
V10 V 0.725 0.332 0.078 1
V11 V 0.778 0.476 0.937 1
V12 V 0.822 0.431 0.436 1
Cu1 Cu 0.039 0.339 0.835 1
Cu2 Cu 0.153 0.441 0.345 1
Cu3 Cu 0.357 0.363 0.669 1
Cu4 Cu 0.373 0.673 0.502 1
Cu5 Cu 0.485 0.782 0.012 1
Cu6 Cu 0.687 0.698 0.336 1
Cu7 Cu 0.707 0.006 0.169 1
Cu8 Cu 0.817 0.110 0.678 1
O1 O 0.022 0.467 0.090 1
O2 O 0.071 0.412 0.471 1
O3 O 0.081 0.057 0.639 1
O4 O 0.086 0.063 0.874 1
O5 O 0.091 0.413 0.708 1
O6 O 0.147 0.002 0.257 1
O7 O 0.197 0.540 0.218 1
O8 O 0.225 0.190 0.384 1
O9 O 0.225 0.882 0.050 1
O10 O 0.234 0.870 0.551 1
O11 O 0.273 0.929 0.464 1
O12 O 0.279 0.612 0.631 1
O13 O 0.287 0.922 0.962 1
O14 O 0.295 0.267 0.797 1
O15 O 0.355 0.801 0.758 1
O16 O 0.405 0.744 0.139 1
O17 O 0.414 0.390 0.306 1
O18 O 0.419 0.397 0.540 1
O19 O 0.424 0.747 0.374 1
O20 O 0.484 0.337 0.924 1
O21 O 0.534 0.874 0.883 1
O22 O 0.556 0.213 0.716 1
O23 O 0.556 0.525 0.050 1
O24 O 0.568 0.203 0.218 1
O25 O 0.605 0.265 0.131 1
O26 O 0.613 0.945 0.297 1
O27 O 0.614 0.260 0.631 1
O28 O 0.628 0.600 0.463 1
O29 O 0.688 0.135 0.424 1
O30 O 0.739 0.079 0.805 1
O31 O 0.743 0.083 0.042 1
O32 O 0.752 0.730 0.207 1
O33 O 0.760 0.735 0.973 1
O34 O 0.814 0.669 0.590 1
O35 O 0.864 0.207 0.551 1
O36 O 0.888 0.544 0.381 1
O37 O 0.892 0.857 0.717 1
O38 O 0.900 0.536 0.885 1
O39 O 0.940 0.595 0.797 1
O40 O 0.948 0.288 0.964 1
O41 O 0.948 0.596 0.298 1
O42 O 0.962 0.931 0.131 1
```

## Properties
The value obtained for the total moment is 4.00 μB/f.u. Its crystal system is triclinic. The calculation puts the formation energy at -202.7 kJ/mol of atoms.

# 2
Material: MgV2CuO7
Method: DFT, PBE with a Hubbard U
State: relaxed

The structure in CIF format:
```
data_MgV2CuO7
_chemical_formula_sum 'Mg6 V12 Cu6 O42'
_space_group_name_H-M_alt 'P 1 2/c 1'
_space_group_IT_number 13
_cell_length_a 10.198
_cell_length_b 8.379
_cell_length_c 10.237
_cell_angle_alpha 90.00
_cell_angle_beta 92.89
_cell_angle_gamma 90.00
loop_
_space_group_symop_operation_xyz
'x,y,z'
'-x,-y,-z'
'-x,y,-z+1/2'
'x,-y,z+1/2'
loop_
_atom_site_label
_atom_site_type_symbol
_atom_site_fract_x
_atom_site_fract_y
_atom_site_fract_z
_atom_site_occupancy
Mg1 Mg 0.000 0.067 0.250 1
Mg2 Mg 0.347 0.434 0.923 1
V1 V 0.023 0.285 0.543 1
V2 V 0.333 0.214 0.214 1
V3 V 0.337 0.262 0.618 1
Cu1 Cu 0.000 0.434 0.250 1
Cu2 Cu 0.302 0.073 0.911 1
O1 O 0.013 0.106 0.613 1
O2 O 0.016 0.261 0.126 1
O3 O 0.076 0.420 0.880 1
O4 O 0.190 0.361 0.559 1
O5 O 0.226 0.074 0.279 1
O6 O 0.308 0.245 0.044 1
O7 O 0.315 0.391 0.289 1
O8 O 0.330 0.242 0.789 1
O9 O 0.350 0.084 0.539 1
O10 O 0.453 0.396 0.574 1
O11 O 0.500 0.148 0.250 1
```

## Properties
The value obtained for the total moment is 1.00 μB/f.u. Its crystal system is monoclinic. The calculation puts the formation energy at -215.1 kJ/mol of atoms.

# 3
Material: MgCu3W4O12
Method: DFT, PBE with a Hubbard U
State: relaxed

The structure in CIF format:
```
data_MgCu3W4O12
_chemical_formula_sum 'Mg1 Cu3 W4 O12'
_space_group_name_H-M_alt 'P -1'
_space_group_IT_number 2
_cell_length_a 6.655
_cell_length_b 6.669
_cell_length_c 6.686
_cell_angle_alpha 109.16
_cell_angle_beta 109.47
_cell_angle_gamma 109.32
loop_
_space_group_symop_operation_xyz
'x,y,z'
'-x,-y,-z'
loop_
_atom_site_label
_atom_site_type_symbol
_atom_site_fract_x
_atom_site_fract_y
_atom_site_fract_z
_atom_site_occupancy
Mg1 Mg 0.000 0.000 0.000 1
Cu1 Cu 0.000 0.500 0.500 1
Cu2 Cu 0.500 0.000 0.500 1
Cu3 Cu 0.500 0.500 0.000 1
W1 W 0.000 0.000 0.500 1
W2 W 0.000 0.500 0.000 1
W3 W 0.500 0.000 0.000 1
W4 W 0.500 0.500 0.500 1
O1 O 0.118 0.814 0.284 1
O2 O 0.173 0.295 0.471 1
O3 O 0.178 0.702 0.878 1
O4 O 0.295 0.468 0.162 1
O5 O 0.297 0.108 0.824 1
O6 O 0.470 0.174 0.293 1
```

## Properties
The value obtained for the total moment is 5.00 μB/f.u. Its crystal system is triclinic. The calculation puts the formation energy at -163.8 kJ/mol of atoms.

# 4
Material: Mg2CuWO6
Method: DFT, PBE with a Hubbard U
State: relaxed

The structure in CIF format:
```
data_Mg2CuWO6
_chemical_formula_sum 'Mg2 Cu1 W1 O6'
_space_group_name_H-M_alt 'P 1'
_space_group_IT_number 1
_cell_length_a 5.126
_cell_length_b 5.254
_cell_length_c 5.715
_cell_angle_alpha 62.93
_cell_angle_beta 63.94
_cell_angle_gamma 61.41
loop_
_space_group_symop_operation_xyz
'x,y,z'
loop_
_atom_site_label
_atom_site_type_symbol
_atom_site_fract_x
_atom_site_fract_y
_atom_site_fract_z
_atom_site_occupancy
Mg1 Mg 0.000 0.000 0.000 1
Mg2 Mg 0.497 0.487 0.518 1
Cu1 Cu 0.254 0.244 0.279 1
W1 W 0.796 0.797 0.609 1
O1 O 0.068 0.733 0.778 1
O2 O 0.174 0.618 0.318 1
O3 O 0.424 0.062 0.771 1
O4 O 0.605 0.879 0.314 1
O5 O 0.732 0.423 0.783 1
O6 O 0.889 0.188 0.320 1
```

## Properties
The value obtained for the total moment is 1.00 μB/f.u. Its crystal system is triclinic. The calculation puts the energy above the most stable polymorph in this dataset at 9 meV per atom. The calculation puts the formation energy at -217.3 kJ/mol of atoms.

# 5
Material: Mg2CuWO6
Method: DFT, PBE with a Hubbard U
State: relaxed

The structure in CIF format:
```
data_Mg2CuWO6
_chemical_formula_sum 'Mg4 Cu2 W2 O12'
_space_group_name_H-M_alt 'P 1 21/c 1'
_space_group_IT_number 14
_cell_length_a 5.001
_cell_length_b 5.176
_cell_length_c 9.811
_cell_angle_alpha 90.00
_cell_angle_beta 119.64
_cell_angle_gamma 90.00
loop_
_space_group_symop_operation_xyz
'x,y,z'
'-x,-y,-z'
'-x,y+1/2,-z+1/2'
'x,-y+1/2,z+1/2'
loop_
_atom_site_label
_atom_site_type_symbol
_atom_site_fract_x
_atom_site_fract_y
_atom_site_fract_z
_atom_site_occupancy
Mg1 Mg 0.206 0.052 0.232 1
Cu1 Cu 0.000 0.000 0.500 1
W1 W 0.500 0.000 0.000 1
O1 O 0.139 0.201 0.948 1
O2 O 0.201 0.710 0.891 1
O3 O 0.462 0.107 0.803 1
```

## Properties
The value obtained for the total moment is 1.00 μB/f.u. Its crystal system is monoclinic. The calculation puts the energy above the most stable polymorph in this dataset at 0 meV per atom. The calculation puts the formation energy at -218.1 kJ/mol of atoms.

# 6
Material: YMgCuW2O8
Method: DFT, PBE with a Hubbard U
State: relaxed

The structure in CIF format:
```
data_YMgCuW2O8
_chemical_formula_sum 'Y1 Mg1 Cu1 W2 O8'
_space_group_name_H-M_alt 'P 1'
_space_group_IT_number 1
_cell_length_a 5.367
_cell_length_b 6.127
_cell_length_c 6.175
_cell_angle_alpha 107.14
_cell_angle_beta 91.68
_cell_angle_gamma 115.58
loop_
_space_group_symop_operation_xyz
'x,y,z'
loop_
_atom_site_label
_atom_site_type_symbol
_atom_site_fract_x
_atom_site_fract_y
_atom_site_fract_z
_atom_site_occupancy
Y1 Y 0.000 0.000 0.000 1
Mg1 Mg 0.704 0.385 0.853 1
Cu1 Cu 0.443 0.921 0.445 1
W1 W 0.237 0.457 0.641 1
W2 W 0.736 0.467 0.346 1
O1 O 0.447 0.242 0.528 1
O2 O 0.470 0.207 0.058 1
O3 O 0.484 0.636 0.432 1
O4 O 0.529 0.674 0.889 1
O5 O 0.933 0.684 0.186 1
O6 O 0.943 0.253 0.331 1
O7 O 0.972 0.230 0.793 1
O8 O 0.982 0.639 0.685 1
```

## Properties
The value obtained for the total moment is 2.00 μB/f.u. Its crystal system is triclinic. The calculation puts the energy above the most stable polymorph in this dataset at 33 meV per atom. The calculation puts the formation energy at -231.7 kJ/mol of atoms.

# 7
Material: YMgCuW2O8
Method: DFT, PBE with a Hubbard U
State: relaxed

The structure in CIF format:
```
data_YMgCuW2O8
_chemical_formula_sum 'Y1 Mg1 Cu1 W2 O8'
_space_group_name_H-M_alt 'P 1'
_space_group_IT_number 1
_cell_length_a 5.380
_cell_length_b 5.937
_cell_length_c 6.088
_cell_angle_alpha 107.70
_cell_angle_beta 90.18
_cell_angle_gamma 116.53
loop_
_space_group_symop_operation_xyz
'x,y,z'
loop_
_atom_site_label
_atom_site_type_symbol
_atom_site_fract_x
_atom_site_fract_y
_atom_site_fract_z
_atom_site_occupancy
Y1 Y 0.000 0.000 0.000 1
Mg1 Mg 0.457 0.929 0.292 1
Cu1 Cu 0.633 0.259 0.851 1
W1 W 0.231 0.497 0.663 1
W2 W 0.740 0.523 0.375 1
O1 O 0.175 0.699 0.464 1
O2 O 0.206 0.741 0.962 1
O3 O 0.250 0.258 0.797 1
O4 O 0.321 0.267 0.346 1
O5 O 0.655 0.719 0.685 1
O6 O 0.727 0.764 0.239 1
O7 O 0.741 0.213 0.127 1
O8 O 0.790 0.301 0.570 1
```

## Properties
The value obtained for the total moment is 2.00 μB/f.u. Its crystal system is triclinic. The calculation puts the energy above the most stable polymorph in this dataset at 0 meV per atom. The calculation puts the formation energy at -234.9 kJ/mol of atoms.

# 8
Material: YMgCuW2O8
Method: DFT, PBE with a Hubbard U
State: relaxed

The structure in CIF format:
```
data_YMgCuW2O8
_chemical_formula_sum 'Y1 Mg1 Cu1 W2 O8'
_space_group_name_H-M_alt 'P 1'
_space_group_IT_number 1
_cell_length_a 5.327
_cell_length_b 5.988
_cell_length_c 6.306
_cell_angle_alpha 104.23
_cell_angle_beta 92.49
_cell_angle_gamma 114.10
loop_
_space_group_symop_operation_xyz
'x,y,z'
loop_
_atom_site_label
_atom_site_type_symbol
_atom_site_fract_x
_atom_site_fract_y
_atom_site_fract_z
_atom_site_occupancy
Y1 Y 0.000 0.000 0.000 1
Mg1 Mg 0.000 0.000 0.500 1
Cu1 Cu 0.500 0.999 0.499 1
W1 W 0.281 0.537 0.668 1
W2 W 0.719 0.463 0.332 1
O1 O 0.015 0.714 0.655 1
O2 O 0.028 0.253 0.780 1
O3 O 0.454 0.293 0.547 1
O4 O 0.474 0.233 0.090 1
O5 O 0.526 0.766 0.910 1
O6 O 0.546 0.706 0.452 1
O7 O 0.972 0.747 0.220 1
O8 O 0.985 0.286 0.345 1
```

## Properties
The value obtained for the total moment is 2.00 μB/f.u. Its crystal system is triclinic. The calculation puts the energy above the most stable polymorph in this dataset at 136 meV per atom. The calculation puts the formation energy at -221.8 kJ/mol of atoms.

no.,V (Å³/atom)
1,14.050
2,13.237
3,11.487
4,11.541
5,11.037
6,13.240
7,12.580
8,13.509